{"formula": "Na3CrAsCO7", "functional": "PBE with a Hubbard U", "state": "relaxed", "lattice_angstrom": [[-7.159, -5.112, -3.090], [2.740, -0.031, -6.297], [2.545, -4.572, 1.130]], "species": ["Na", "Na", "Na", "Na", "Na", "Na", "Cr", "Cr", "As", "As", "C", "C", "O", "O", "O", "O", "O", "O", "O", "O", "O", "O", "O", "O", "O", "O"], "frac_coords": [[0.084, 0.250, 0.793], [0.256, 0.002, 0.251], [0.256, 0.498, 0.251], [0.744, 0.502, 0.749], [0.744, 0.998, 0.749], [0.916, 0.750, 0.207], [0.347, 0.750, 0.771], [0.653, 0.250, 0.228], [0.419, 0.250, 0.687], [0.581, 0.750, 0.313], [0.049, 0.750, 0.710], [0.951, 0.250, 0.290], [0.089, 0.250, 0.253], [0.131, 0.750, 0.906], [0.107, 0.750, 0.487], [0.312, 0.053, 0.771], [0.312, 0.447, 0.771], [0.440, 0.250, 0.363], [0.415, 0.750, 0.186], [0.585, 0.250, 0.814], [0.560, 0.750, 0.637], [0.688, 0.553, 0.230], [0.688, 0.947, 0.230], [0.893, 0.250, 0.513], [0.869, 0.250, 0.094], [0.911, 0.750, 0.747]], "delta_e_f_kj_per_mol_atoms": -197.0, "magnetic_moment_mub_per_atom": 0.308}

***

{"formula": "NaCrAsCO7", "functional": "PBE with a Hubbard U", "state": "relaxed", "lattice_angstrom": [[-2.573, 1.712, 5.687], [-2.416, -4.786, 0.348], [7.205, -3.811, 4.406]], "species": ["Na", "Na", "Cr", "Cr", "As", "As", "C", "C", "O", "O", "O", "O", "O", "O", "O", "O", "O", "O", "O", "O", "O", "O"], "frac_coords": [[0.515, 0.769, 0.783], [0.015, 0.231, 0.217], [0.238, 0.208, 0.666], [0.738, 0.792, 0.334], [0.745, 0.283, 0.565], [0.245, 0.717, 0.435], [0.256, 0.274, 0.920], [0.756, 0.726, 0.080], [0.749, 0.678, 0.952], [0.250, 0.051, 0.865], [0.266, 0.451, 0.811], [0.950, 0.207, 0.680], [0.544, 0.192, 0.675], [0.259, 0.877, 0.590], [0.730, 0.597, 0.523], [0.230, 0.403, 0.477], [0.759, 0.123, 0.410], [0.044, 0.808, 0.325], [0.450, 0.793, 0.320], [0.766, 0.549, 0.189], [0.750, 0.949, 0.135], [0.249, 0.322, 0.048]], "delta_e_f_kj_per_mol_atoms": -179.9, "magnetic_moment_mub_per_atom": 0.182}

***

{"formula": "Li3FeAsCO7", "functional": "PBE with a Hubbard U", "state": "relaxed", "lattice_angstrom": [[0.026, -0.453, 8.372], [2.041, 7.918, -1.658], [-8.162, 2.852, 0.705]], "species": ["Li", "Li", "Li", "Li", "Li", "Li", "Li", "Li", "Li", "Li", "Li", "Li", "Fe", "Fe", "Fe", "Fe", "As", "As", "As", "As", "C", "C", "C", "C", "O", "O", "O", "O", "O", "O", "O", "O", "O", "O", "O", "O", "O", "O", "O", "O", "O", "O", "O", "O", "O", "O", "O", "O", "O", "O", "O", "O"], "frac_coords": [[0.519, 0.269, 0.097], [0.019, 0.769, 0.097], [0.481, 0.731, 0.903], [0.981, 0.231, 0.903], [0.137, 0.119, 0.267], [0.637, 0.619, 0.267], [0.366, 0.888, 0.270], [0.866, 0.388, 0.270], [0.634, 0.112, 0.730], [0.134, 0.612, 0.730], [0.863, 0.881, 0.733], [0.363, 0.381, 0.733], [0.269, 0.518, 0.319], [0.731, 0.482, 0.681], [0.769, 0.019, 0.319], [0.231, 0.981, 0.681], [0.486, 0.236, 0.415], [0.986, 0.736, 0.415], [0.514, 0.764, 0.585], [0.014, 0.264, 0.585], [0.712, 0.962, 0.028], [0.212, 0.461, 0.028], [0.288, 0.038, 0.972], [0.787, 0.538, 0.972], [0.319, 0.069, 0.114], [0.819, 0.569, 0.114], [0.681, 0.931, 0.886], [0.181, 0.431, 0.886], [0.833, 0.083, 0.058], [0.333, 0.583, 0.058], [0.167, 0.917, 0.942], [0.667, 0.417, 0.942], [0.622, 0.868, 0.144], [0.122, 0.368, 0.144], [0.378, 0.132, 0.856], [0.878, 0.632, 0.856], [0.316, 0.066, 0.438], [0.816, 0.567, 0.438], [0.684, 0.934, 0.562], [0.184, 0.433, 0.562], [0.461, 0.712, 0.405], [0.961, 0.212, 0.405], [0.539, 0.288, 0.595], [0.039, 0.788, 0.595], [0.447, 0.393, 0.294], [0.947, 0.893, 0.294], [0.641, 0.196, 0.294], [0.141, 0.696, 0.294], [0.359, 0.804, 0.706], [0.859, 0.304, 0.706], [0.553, 0.607, 0.706], [0.053, 0.107, 0.706]], "delta_e_f_kj_per_mol_atoms": -196.5, "magnetic_moment_mub_per_atom": 0.308}

***

{"formula": "Na6Fe2AsC4O16", "functional": "PBE with a Hubbard U", "state": "relaxed", "lattice_angstrom": [[0.000, 7.160, 7.160], [7.160, 0.000, 7.160], [7.160, 7.160, 0.000]], "species": ["Na", "Na", "Na", "Na", "Na", "Na", "Na", "Na", "Na", "Na", "Na", "Na", "Fe", "Fe", "Fe", "Fe", "As", "As", "C", "C", "C", "C", "C", "C", "C", "C", "O", "O", "O", "O", "O", "O", "O", "O", "O", "O", "O", "O", "O", "O", "O", "O", "O", "O", "O", "O", "O", "O", "O", "O", "O", "O", "O", "O", "O", "O", "O", "O"], "frac_coords": [[0.540, 0.960, 0.960], [0.290, 0.290, 0.710], [0.960, 0.540, 0.960], [0.540, 0.960, 0.540], [0.710, 0.710, 0.290], [0.290, 0.710, 0.710], [0.540, 0.540, 0.960], [0.960, 0.540, 0.540], [0.710, 0.290, 0.710], [0.290, 0.710, 0.290], [0.960, 0.960, 0.540], [0.710, 0.290, 0.290], [0.125, 0.625, 0.125], [0.625, 0.125, 0.125], [0.125, 0.125, 0.125], [0.125, 0.125, 0.625], [0.750, 0.750, 0.750], [0.500, 0.500, 0.500], [0.340, 0.979, 0.340], [0.340, 0.340, 0.979], [0.979, 0.340, 0.340], [0.340, 0.340, 0.340], [0.910, 0.910, 0.910], [0.271, 0.910, 0.910], [0.910, 0.910, 0.271], [0.910, 0.271, 0.910], [0.273, 0.023, 0.769], [0.023, 0.273, 0.935], [0.481, 0.977, 0.227], [0.315, 0.227, 0.977], [0.315, 0.977, 0.481], [0.680, 0.680, 0.680], [0.977, 0.315, 0.227], [0.959, 0.680, 0.680], [0.680, 0.680, 0.959], [0.481, 0.315, 0.977], [0.227, 0.481, 0.977], [0.680, 0.959, 0.680], [0.481, 0.227, 0.315], [0.977, 0.481, 0.315], [0.227, 0.315, 0.481], [0.935, 0.769, 0.023], [0.315, 0.481, 0.227], [0.023, 0.935, 0.769], [0.273, 0.769, 0.935], [0.769, 0.023, 0.935], [0.570, 0.291, 0.570], [0.023, 0.769, 0.273], [0.769, 0.935, 0.273], [0.570, 0.570, 0.291], [0.291, 0.570, 0.570], [0.273, 0.935, 0.023], [0.570, 0.570, 0.570], [0.935, 0.273, 0.769], [0.935, 0.023, 0.273], [0.769, 0.273, 0.023], [0.227, 0.977, 0.315], [0.977, 0.227, 0.481]], "delta_e_f_kj_per_mol_atoms": -184.9, "magnetic_moment_mub_per_atom": 0.310}

***

> Which formula does entry 2 have?

NaCrAsCO7